# 1
The following is a DFT calculation (PBE-GGA) of a relaxed Na2MgGaPS2O12 crystal.

Cell: 8.7001 8.7001 21.9896 Å, 90.56 90.56 60.20°
Sites, in units of the cell vectors:
1 Na 0.0007 0.9993 0.5000
2 Na 0.0031 0.6433 0.2496
3 Na 0.0348 0.6753 0.5799
4 Na 0.3259 0.3480 0.1666
5 Na 0.3413 0.9793 0.9126
6 Na 0.3480 0.3259 0.6666
7 Na 0.6433 0.0031 0.7496
8 Na 0.6614 0.6773 0.3335
9 Na 0.6753 0.0348 0.0799
10 Na 0.6773 0.6614 0.8335
11 Na 0.9793 0.3413 0.4126
12 Na 0.9993 0.0007 0.0000
13 Mg 0.0025 0.0082 0.8538
14 Mg 0.0082 0.0025 0.3538
15 Mg 0.3362 0.3500 0.0209
16 Mg 0.3500 0.3362 0.5209
17 Mg 0.6654 0.6818 0.6873
18 Mg 0.6818 0.6654 0.1873
19 Ga 0.0082 0.0157 0.6528
20 Ga 0.0157 0.0082 0.1528
21 Ga 0.3317 0.3391 0.3197
22 Ga 0.3391 0.3317 0.8197
23 Ga 0.6791 0.6890 0.4862
24 Ga 0.6890 0.6791 0.9862
25 P 0.0116 0.2959 0.2550
26 P 0.0439 0.6377 0.4211
27 P 0.2959 0.0116 0.7550
28 P 0.6377 0.0439 0.9211
29 P 0.6786 0.9738 0.5901
30 P 0.9738 0.6786 0.0901
31 S 0.0179 0.7051 0.7513
32 S 0.0426 0.3484 0.9194
33 S 0.3034 0.7121 0.2528
34 S 0.3471 0.6282 0.9184
35 S 0.3484 0.0426 0.4194
36 S 0.3782 0.9634 0.0848
37 S 0.3835 0.6786 0.5844
38 S 0.6282 0.3471 0.4184
39 S 0.6786 0.3835 0.0844
40 S 0.7051 0.0179 0.2513
41 S 0.7121 0.3034 0.7528
42 S 0.9634 0.3782 0.5848
43 O 0.0202 0.8213 0.4130
44 O 0.0276 0.1868 0.9130
45 O 0.0381 0.1795 0.1972
46 O 0.0419 0.7816 0.6935
47 O 0.1184 0.3798 0.8631
48 O 0.1268 0.5155 0.3628
49 O 0.1405 0.3635 0.5802
50 O 0.1500 0.5472 0.4781
51 O 0.1547 0.3227 0.9725
52 O 0.1553 0.5188 0.0800
53 O 0.1795 0.0381 0.6972
54 O 0.1806 0.5301 0.7588
55 O 0.1815 0.3195 0.2571
56 O 0.1857 0.7890 0.1976
57 O 0.1868 0.0276 0.4130
58 O 0.1930 0.8105 0.9129
59 O 0.1988 0.9836 0.0898
60 O 0.2021 0.8405 0.5878
61 O 0.2117 0.9954 0.8129
62 O 0.2195 0.8176 0.3070
63 O 0.3193 0.5322 0.2577
64 O 0.3195 0.1815 0.7571
65 O 0.3227 0.1547 0.4725
66 O 0.3229 0.5476 0.9722
67 O 0.3540 0.5248 0.5790
68 O 0.3635 0.1405 0.0802
69 O 0.3681 0.5220 0.8619
70 O 0.3798 0.1184 0.3631
71 O 0.4538 0.8607 0.0265
72 O 0.4684 0.6991 0.5284
73 O 0.4777 0.6951 0.2445
74 O 0.4840 0.8515 0.7486
75 O 0.4874 0.6560 0.6389
76 O 0.4929 0.8734 0.1367
77 O 0.5061 0.8621 0.4251
78 O 0.5095 0.6472 0.9227
79 O 0.5155 0.1268 0.8628
80 O 0.5188 0.1553 0.5800
81 O 0.5220 0.3681 0.3619
82 O 0.5248 0.3540 0.0790
83 O 0.5301 0.1806 0.2588
84 O 0.5322 0.3193 0.7577
85 O 0.5472 0.1500 0.9781
86 O 0.5476 0.3229 0.4722
87 O 0.6472 0.5095 0.4227
88 O 0.6470 0.8566 0.9242
89 O 0.6560 0.4874 0.1389
90 O 0.6598 0.8881 0.6471
91 O 0.6819 0.8605 0.2461
92 O 0.6951 0.4777 0.7445
93 O 0.6991 0.4684 0.0284
94 O 0.7225 0.8445 0.5336
95 O 0.7816 0.0419 0.1935
96 O 0.7890 0.1857 0.6976
97 O 0.8105 0.1930 0.4129
98 O 0.8176 0.2195 0.8070
99 O 0.8213 0.0202 0.9130
100 O 0.8260 0.9844 0.3028
101 O 0.8405 0.2021 0.0878
102 O 0.8445 0.7225 0.0336
103 O 0.8515 0.4840 0.2486
104 O 0.8566 0.6470 0.4242
105 O 0.8565 0.9828 0.5943
106 O 0.8605 0.6819 0.7461
107 O 0.8607 0.4538 0.5265
108 O 0.8621 0.5061 0.9251
109 O 0.8734 0.4929 0.6367
110 O 0.8881 0.6598 0.1471
111 O 0.9828 0.8565 0.0943
112 O 0.9836 0.1988 0.5898
113 O 0.9844 0.8260 0.8028
114 O 0.9954 0.2117 0.3129

The value obtained for the calculated volume is 12.7 Å³/atom. For the total magnetization, the calculation gives 0.000 μB/cell. For the energy relative to the elements, the calculation gives -2.341 eV/atom.

# 2
The following is a DFT calculation (PBE-GGA) of a relaxed Na5Mg2Ga2P3S3O24 crystal.

Cell: 8.7493 8.7522 21.9242 Å, 88.79 88.52 60.58°
Sites, in units of the cell vectors:
1 Na 0.0000 0.0000 0.0000
2 Na 0.0021 0.6944 0.5786
3 Na 0.0051 0.3726 0.4917
4 Na 0.3129 0.0254 0.4115
5 Na 0.3218 0.0503 0.9105
6 Na 0.3343 0.3340 0.3327
7 Na 0.3405 0.7095 0.8274
8 Na 0.6323 0.3877 0.7449
9 Na 0.6378 0.7395 0.9908
10 Na 0.6422 0.0125 0.4939
11 Na 0.6539 0.3841 0.2441
12 Na 0.6740 0.0422 0.1611
13 Na 0.9463 0.0373 0.6589
14 Na 0.9713 0.0734 0.3259
15 Na 0.9992 0.6893 0.0798
16 Mg 0.3032 0.0387 0.2643
17 Mg 0.3144 0.0316 0.7656
18 Mg 0.6230 0.3789 0.5993
19 Mg 0.6364 0.3722 0.0979
20 Mg 0.9712 0.7051 0.9311
21 Mg 0.9745 0.7060 0.4316
22 Ga 0.2975 0.0351 0.5632
23 Ga 0.3070 0.0323 0.0631
24 Ga 0.6342 0.3793 0.8987
25 Ga 0.6506 0.3588 0.3977
26 Ga 0.9701 0.7111 0.2319
27 Ga 0.9750 0.6948 0.7308
28 P 0.0126 0.0339 0.1651
29 P 0.3020 0.7427 0.6676
30 P 0.3438 0.6669 0.9974
31 P 0.3455 0.3694 0.4974
32 P 0.6325 0.0836 0.9983
33 P 0.6756 0.0006 0.3313
34 P 0.6830 0.6984 0.8323
35 P 0.9385 0.0753 0.4994
36 P 0.9652 0.4181 0.3312
37 S 0.0148 0.3350 0.6636
38 S 0.2670 0.4096 0.8300
39 S 0.2714 0.7005 0.3295
40 S 0.2988 0.3365 0.1635
41 S 0.6013 0.0337 0.6626
42 S 0.6024 0.7421 0.1633
43 S 0.6336 0.6643 0.4966
44 S 0.9362 0.3680 0.9968
45 S 0.9648 0.0076 0.8295
46 O 0.0986 0.0522 0.2217
47 O 0.1019 0.2216 0.7156
48 O 0.1120 0.2073 0.0019
49 O 0.1187 0.2622 0.6049
50 O 0.1234 0.0272 0.8237
51 O 0.1235 0.0627 0.5023
52 O 0.1236 0.0086 0.1047
53 O 0.1245 0.7318 0.6715
54 O 0.1257 0.2300 0.3247
55 O 0.1398 0.5118 0.1682
56 O 0.1574 0.6944 0.9910
57 O 0.1576 0.5223 0.4913
58 O 0.1584 0.7317 0.3837
59 O 0.1611 0.4928 0.8848
60 O 0.1912 0.5261 0.7744
61 O 0.1939 0.6653 0.2747
62 O 0.2593 0.8703 0.6102
63 O 0.2760 0.2500 0.1092
64 O 0.2828 0.2371 0.8227
65 O 0.2896 0.8586 0.3220
66 O 0.3187 0.8279 0.7249
67 O 0.3258 0.8573 0.0011
68 O 0.3266 0.2286 0.2193
69 O 0.3349 0.1920 0.5027
70 O 0.4339 0.3938 0.5509
71 O 0.4354 0.5550 0.0520
72 O 0.4452 0.3959 0.8334
73 O 0.4460 0.5407 0.3353
74 O 0.4586 0.3539 0.1576
75 O 0.4585 0.5954 0.9369
76 O 0.4596 0.3341 0.4364
77 O 0.4619 0.5628 0.6596
78 O 0.4639 0.0630 0.0039
79 O 0.4779 0.8450 0.5020
80 O 0.4901 0.0266 0.3244
81 O 0.4913 0.0574 0.7155
82 O 0.4930 0.8307 0.2167
83 O 0.4969 0.8582 0.8264
84 O 0.5237 0.0111 0.6050
85 O 0.5285 0.8529 0.1060
86 O 0.6054 0.5869 0.4410
87 O 0.6064 0.1997 0.9405
88 O 0.6200 0.5681 0.1578
89 O 0.6306 0.1873 0.6582
90 O 0.6597 0.1897 0.3338
91 O 0.6615 0.5279 0.8349
92 O 0.6627 0.5546 0.5507
93 O 0.6684 0.1578 0.0553
94 O 0.7602 0.8956 0.3888
95 O 0.7642 0.7182 0.8901
96 O 0.7796 0.7301 0.1669
97 O 0.7804 0.8733 0.6665
98 O 0.7917 0.6868 0.4903
99 O 0.7929 0.8962 0.9910
100 O 0.7952 0.9225 0.2727
101 O 0.7960 0.3989 0.3358
102 O 0.8004 0.6711 0.7740
103 O 0.8049 0.1812 0.8353
104 O 0.8255 0.1633 0.5558
105 O 0.8248 0.3969 0.0512
106 O 0.8263 0.1932 0.1598
107 O 0.8394 0.3485 0.6589
108 O 0.8588 0.3325 0.9421
109 O 0.8615 0.1944 0.4403
110 O 0.9421 0.5326 0.2732
111 O 0.9417 0.9253 0.7734
112 O 0.9504 0.8959 0.4925
113 O 0.9556 0.5251 0.9894
114 O 0.9933 0.8620 0.1683
115 O 0.9950 0.8935 0.8837
116 O 0.9966 0.5134 0.6678
117 O 0.9992 0.4943 0.3880

The value obtained for the calculated volume is 12.5 Å³/atom. For the total magnetization, the calculation gives 0.001 μB/cell. For the energy relative to the elements, the calculation gives -2.424 eV/atom.

# 3
The following is a DFT calculation (PBE-GGA) of a relaxed Na7Mg2Ga2P5SO24 crystal.

Cell: 8.8771 8.8876 21.6383 Å, 89.91 89.74 60.13°
Sites, in units of the cell vectors:
1 Na 0.0000 0.0000 0.0000
2 Na 0.9996 0.2536 0.5023
3 Na 0.0062 0.6106 0.2499
4 Na 0.0197 0.6278 0.7515
5 Na 0.0199 0.9291 0.3297
6 Na 0.0271 0.2879 0.8360
7 Na 0.3248 0.9527 0.9158
8 Na 0.3356 0.5985 0.1681
9 Na 0.3367 0.3234 0.6688
10 Na 0.3369 0.9696 0.4162
11 Na 0.3729 0.2530 0.9957
12 Na 0.3731 0.6280 0.4995
13 Na 0.6241 0.0008 0.4985
14 Na 0.6271 0.6264 0.0027
15 Na 0.6609 0.6536 0.3350
16 Na 0.6635 0.2934 0.5833
17 Na 0.6627 0.9421 0.8321
18 Na 0.6901 0.2931 0.0852
19 Na 0.6928 0.5935 0.6647
20 Na 0.7022 0.9571 0.1716
21 Na 0.9649 0.9642 0.6687
22 Mg 0.3300 0.9576 0.0644
23 Mg 0.3319 0.9590 0.5644
24 Mg 0.6554 0.2926 0.4324
25 Mg 0.6612 0.2878 0.7341
26 Mg 0.6663 0.2869 0.9329
27 Mg 0.6679 0.2916 0.2339
28 Ga 0.0042 0.6290 0.4004
29 Ga 0.0131 0.6263 0.9004
30 Ga 0.3219 0.9652 0.7626
31 Ga 0.3427 0.9445 0.2640
32 Ga 0.9928 0.6311 0.0992
33 Ga 0.9989 0.6271 0.6006
34 P 0.0340 0.2606 0.6652
35 P 0.0364 0.9581 0.1652
36 P 0.2858 0.3387 0.5003
37 P 0.2916 0.6245 0.0023
38 P 0.3300 0.6665 0.6642
39 P 0.3604 0.2923 0.8325
40 P 0.3616 0.5932 0.3320
41 P 0.6279 0.9548 0.6655
42 P 0.6369 0.6584 0.1641
43 P 0.6615 0.9896 0.3328
44 P 0.7093 0.9161 0.9987
45 P 0.7117 0.6237 0.4987
46 P 0.9723 0.9862 0.8329
47 P 0.9976 0.3405 0.9985
48 P 0.9979 0.9198 0.4999
49 S 0.3265 0.2525 0.1660
50 S 0.6613 0.5937 0.8331
51 S 0.9681 0.2910 0.3337
52 O 0.0185 0.4438 0.6616
53 O 0.0240 0.4231 0.9387
54 O 0.0263 0.7841 0.1643
55 O 0.0261 0.8082 0.4411
56 O 0.1163 0.1476 0.6081
57 O 0.1204 0.9775 0.1067
58 O 0.1426 0.1331 0.3266
59 O 0.1499 0.1790 0.7238
60 O 0.1520 0.9315 0.2239
61 O 0.1556 0.9685 0.8259
62 O 0.1619 0.1594 0.0029
63 O 0.1621 0.6493 0.6622
64 O 0.1618 0.9370 0.5034
65 O 0.1646 0.4284 0.4450
66 O 0.1713 0.6599 0.9464
67 O 0.1719 0.4299 0.1645
68 O 0.1716 0.4512 0.8377
69 O 0.1746 0.6180 0.3377
70 O 0.2065 0.4476 0.5604
71 O 0.2095 0.5928 0.0617
72 O 0.2952 0.7904 0.7200
73 O 0.3065 0.1560 0.5035
74 O 0.3068 0.1635 0.2213
75 O 0.3118 0.7866 0.0055
76 O 0.3367 0.7833 0.3274
77 O 0.3441 0.1226 0.8279
78 O 0.3483 0.1534 0.1091
79 O 0.3598 0.7418 0.6049
80 O 0.4435 0.3140 0.7736
81 O 0.4466 0.4907 0.2730
82 O 0.4673 0.3215 0.4951
83 O 0.4709 0.2643 0.8904
84 O 0.4725 0.4614 0.9961
85 O 0.4750 0.5150 0.3895
86 O 0.4848 0.2704 0.1711
87 O 0.4897 0.4841 0.6727
88 O 0.4980 0.9662 0.3264
89 O 0.5080 0.7716 0.8295
90 O 0.5187 0.9809 0.6081
91 O 0.5251 0.7475 0.1074
92 O 0.5267 0.9362 0.0031
93 O 0.5309 0.7881 0.5016
94 O 0.5417 0.9246 0.7244
95 O 0.5540 0.7765 0.2232
96 O 0.6422 0.0906 0.3924
97 O 0.6459 0.5100 0.8897
98 O 0.6491 0.4811 0.1718
99 O 0.6523 0.1144 0.6716
100 O 0.6821 0.4877 0.7777
101 O 0.6919 0.0971 0.9937
102 O 0.6935 0.4601 0.4945
103 O 0.6939 0.0728 0.2759
104 O 0.7961 0.7979 0.9413
105 O 0.7997 0.6490 0.4404
106 O 0.8121 0.7876 0.6628
107 O 0.8189 0.6460 0.1609
108 O 0.8214 0.8364 0.0578
109 O 0.8216 0.6115 0.8347
110 O 0.8234 0.5960 0.5576
111 O 0.8265 0.8003 0.3363
112 O 0.8347 0.1013 0.4957
113 O 0.8347 0.3206 0.9947
114 O 0.8505 0.1109 0.1719
115 O 0.8503 0.2851 0.6733
116 O 0.8547 0.3172 0.2805
117 O 0.8591 0.0700 0.7753
118 O 0.8912 0.1004 0.8906
119 O 0.8912 0.2643 0.3910
120 O 0.9672 0.4598 0.0547
121 O 0.9680 0.8341 0.5582
122 O 0.9824 0.8055 0.8391
123 O 0.9844 0.4497 0.3376

The value obtained for the calculated volume is 12.0 Å³/atom. For the total magnetization, the calculation gives 0.001 μB/cell. For the energy relative to the elements, the calculation gives -2.594 eV/atom.